DFT (GGA+U) results for a relaxed LiTiV2CrO10 crystal.

Lattice parameters (Å, degrees): 6.5612 6.5612 5.2810 90.00 90.00 90.00
Fractional coordinates of all 15 atoms:
Li 0.0000 0.0000 0.0000
Ti 0.5000 0.5000 0.5000
V 0.0000 0.5000 0.6101
V 0.5000 0.0000 0.3899
Cr 0.0000 0.0000 0.5000
O 0.0000 0.2048 0.7037
O 0.0000 0.5000 0.3033
O 0.0000 0.7952 0.7037
O 0.2048 0.0000 0.2963
O 0.2700 0.5000 0.6991
O 0.5000 0.0000 0.6967
O 0.5000 0.2700 0.3009
O 0.5000 0.7300 0.3009
O 0.7300 0.5000 0.6991
O 0.7952 0.0000 0.2963

Summary:
As for the calculated density: 2693 kg/m3. Its space group is P-4m2. The value obtained for the relative energy among the computed polymorphs is 0.42 eV per formula unit. For the total magnetization, the calculation gives 1.00 μB per cell.

***

DFT (GGA+U) results for a relaxed Li9Co2O8 crystal.

Lattice parameters (Å, degrees): 6.3990 6.3990 4.7429 90.58 90.58 89.38
Fractional coordinates of all 19 atoms:
Li 0.0000 0.0000 0.0000
Li 0.1754 0.3193 0.9278
Li 0.2048 0.3435 0.4329
Li 0.3862 0.6138 0.0000
Li 0.4629 0.1039 0.4965
Li 0.6565 0.7952 0.5671
Li 0.6807 0.8246 0.0722
Li 0.8961 0.5371 0.5035
Li 0.9051 0.0949 0.5000
Co 0.1888 0.8112 0.5000
Co 0.6848 0.3152 0.0000
O 0.1746 0.5652 0.6986
O 0.1791 0.0848 0.6722
O 0.4348 0.8254 0.3014
O 0.4416 0.3226 0.1885
O 0.6774 0.5584 0.8115
O 0.7003 0.0698 0.7896
O 0.9152 0.8209 0.3278
O 0.9302 0.2997 0.2104

Summary:
As for the calculated density: 2637 kg/m3. Its space group is C2. The value obtained for the relative energy among the computed polymorphs is 0.63 eV per formula unit. For the total magnetization, the calculation gives 9.00 μB per cell.

***

DFT (GGA+U) results for a relaxed Li3Mn2P3O12 crystal.

Lattice parameters (Å, degrees): 8.5620 8.5620 8.7118 118.21 118.21 61.53
Fractional coordinates of all 40 atoms:
Li 0.0000 0.0000 0.0000
Li 0.1061 0.4974 0.1031
Li 0.3594 0.1430 0.2768
Li 0.5026 0.8939 0.8969
Li 0.6781 0.3219 0.5000
Li 0.8570 0.6406 0.7232
Mn 0.2021 0.0112 0.3926
Mn 0.4958 0.2976 0.1017
Mn 0.7024 0.5042 0.8983
Mn 0.9888 0.7979 0.6074
P 0.0967 0.1975 0.7952
P 0.3004 0.6996 0.0000
P 0.3790 0.6210 0.5000
P 0.5992 0.1036 0.6953
P 0.8025 0.9033 0.2048
P 0.8964 0.4008 0.3047
O 0.0534 0.0415 0.7909
O 0.0802 0.2244 0.3047
O 0.1069 0.7208 0.8469
O 0.1311 0.1596 0.6232
O 0.2185 0.6563 0.5583
O 0.2650 0.2234 0.9803
O 0.2792 0.8931 0.1531
O 0.3342 0.5390 0.0596
O 0.3437 0.7815 0.4417
O 0.3968 0.4282 0.3439
O 0.4457 0.0850 0.5083
O 0.4610 0.6658 0.9404
O 0.5483 0.1265 0.8533
O 0.5718 0.6032 0.6561
O 0.6064 0.0647 0.1786
O 0.6520 0.2718 0.7293
O 0.7282 0.3480 0.2707
O 0.7756 0.9198 0.6953
O 0.7766 0.7350 0.0197
O 0.8404 0.8689 0.3768
O 0.8735 0.4517 0.1467
O 0.9150 0.5543 0.4917
O 0.9353 0.3936 0.8214
O 0.9585 0.9466 0.2091

Summary:
As for the calculated density: 2944 kg/m3. Its space group is C2. The value obtained for the relative energy among the computed polymorphs is 1.07 eV per formula unit. For the total magnetization, the calculation gives 16.00 μB per cell.

***

DFT (GGA+U) results for a relaxed MnFeO3 crystal.

Lattice parameters (Å, degrees): 8.2433 8.2616 8.2670 109.35 108.58 109.52
Fractional coordinates of all 40 atoms:
Mn 0.0000 0.0000 0.0000
Mn 0.0029 0.5027 0.4939
Mn 0.2454 0.4679 0.2107
Mn 0.2833 0.7520 0.0317
Mn 0.5101 0.0070 0.5048
Mn 0.5337 0.2824 0.2521
Mn 0.7539 0.0334 0.2807
Mn 0.7827 0.7487 0.5343
Fe 0.0431 0.7886 0.2517
Fe 0.2162 0.2550 0.4635
Fe 0.2524 0.9622 0.7106
Fe 0.4688 0.7185 0.7558
Fe 0.5021 0.4985 0.0033
Fe 0.7108 0.2515 0.9590
Fe 0.7559 0.5433 0.7953
Fe 0.9676 0.2131 0.7505
O 0.0195 0.7253 0.4550
O 0.0425 0.9806 0.7773
O 0.0510 0.7821 0.0013
O 0.2355 0.4492 0.9635
O 0.2442 0.5135 0.4594
O 0.2452 0.7445 0.7871
O 0.2601 0.7204 0.2552
O 0.2673 0.2241 0.2225
O 0.2724 0.0493 0.4990
O 0.4461 0.2228 0.9364
O 0.4582 0.4591 0.7264
O 0.5026 0.9525 0.7159
O 0.5171 0.0585 0.2924
O 0.5481 0.7788 0.0502
O 0.5576 0.5428 0.2772
O 0.7281 0.9477 0.4992
O 0.7371 0.2881 0.7388
O 0.7380 0.7900 0.8043
O 0.7566 0.2768 0.2172
O 0.7791 0.5515 0.0534
O 0.7912 0.5219 0.5646
O 0.9431 0.2071 0.0063
O 0.9570 0.9943 0.2245
O 0.9978 0.2749 0.5255

Summary:
As for the calculated density: 4811 kg/m3. Its space group is P1. For the total magnetization, the calculation gives 72.00 μB per cell.

***

| no. | formation energy from the elements (eV per atom) |
| --- | --- |
| 1 | -2.348 |
| 2 | -1.821 |
| 3 | -2.510 |
| 4 | -1.794 |